VASP calculation (PBE with a Hubbard U) on a relaxed structure of Rb3CoF6.

Cell: 6.491 6.491 6.491 Å, 60.00 60.00 60.00°
Fractional positions:
Rb 0.000 0.000 0.000
Rb 0.250 0.250 0.250
Rb 0.750 0.750 0.750
Co 0.500 0.500 0.500
F 0.289 0.289 0.711
F 0.289 0.711 0.289
F 0.289 0.711 0.711
F 0.711 0.289 0.289
F 0.711 0.289 0.711
F 0.711 0.711 0.289

Values from the calculation:
The calculation puts the volume at 19.3 A^3/atom. The formation enthalpy at 0 K is -2.674 eV/atom.

=====

VASP calculation (PBE with a Hubbard U) on a relaxed structure of Rb2TlCoF6.

Cell: 6.447 6.447 6.447 Å, 60.00 60.00 60.00°
Fractional positions:
Rb 0.250 0.250 0.250
Rb 0.750 0.750 0.750
Tl 0.000 0.000 0.000
Co 0.500 0.500 0.500
F 0.285 0.285 0.715
F 0.285 0.715 0.285
F 0.285 0.715 0.715
F 0.715 0.285 0.285
F 0.715 0.285 0.715
F 0.715 0.715 0.285

Values from the calculation:
The calculation puts the volume at 18.9 A^3/atom. The formation enthalpy at 0 K is -2.477 eV/atom.

=====

VASP calculation (PBE with a Hubbard U) on a relaxed structure of CoSnF6.

Cell: 5.592 5.592 5.592 Å, 56.96 56.96 56.96°
Fractional positions:
Co 0.000 0.000 0.000
Sn 0.500 0.500 0.500
F 0.136 0.371 0.746
F 0.254 0.864 0.629
F 0.371 0.746 0.136
F 0.629 0.254 0.864
F 0.746 0.136 0.371
F 0.864 0.629 0.254

Values from the calculation:
The calculation puts the volume at 14.4 A^3/atom. The formation enthalpy at 0 K is -2.651 eV/atom.

=====

VASP calculation (PBE with a Hubbard U) on a relaxed structure of Tl2CoF4.

Cell: 7.623 7.623 7.623 Å, 148.12 148.12 45.72°
Fractional positions:
Tl 0.147 0.147 0.000
Tl 0.853 0.853 0.000
Co 0.500 0.500 0.000
F 0.000 0.500 0.500
F 0.357 0.357 0.000
F 0.500 0.000 0.500
F 0.643 0.643 0.000

Values from the calculation:
The calculation puts the volume at 17.6 A^3/atom. The formation enthalpy at 0 K is -2.107 eV/atom.

=====

VASP calculation (PBE with a Hubbard U) on a relaxed structure of YCo3F15.

Cell: 5.758 11.501 9.391 Å, 90.00 107.22 90.00°
Fractional positions:
Y 0.215 0.250 0.243
Y 0.785 0.750 0.757
Co 0.000 0.000 0.500
Co 0.000 0.500 0.500
Co 0.320 0.511 0.847
Co 0.320 0.989 0.847
Co 0.680 0.011 0.153
Co 0.680 0.489 0.153
F 0.011 0.114 0.328
F 0.011 0.386 0.328
F 0.038 0.750 0.953
F 0.077 0.063 0.879
F 0.077 0.437 0.879
F 0.201 0.591 0.452
F 0.201 0.909 0.452
F 0.255 0.068 0.642
F 0.255 0.432 0.642
F 0.409 0.750 0.300
F 0.420 0.588 0.047
F 0.420 0.912 0.047
F 0.464 0.250 0.545
F 0.490 0.120 0.223
F 0.490 0.380 0.223
F 0.510 0.620 0.777
F 0.510 0.880 0.777
F 0.536 0.750 0.455
F 0.580 0.088 0.953
F 0.580 0.412 0.953
F 0.591 0.250 0.700
F 0.745 0.568 0.358
F 0.745 0.932 0.358
F 0.799 0.091 0.548
F 0.799 0.409 0.548
F 0.923 0.563 0.121
F 0.923 0.937 0.121
F 0.962 0.250 0.047
F 0.989 0.614 0.672
F 0.989 0.886 0.672

Values from the calculation:
The calculation puts the volume at 15.6 A^3/atom. The formation enthalpy at 0 K is -2.256 eV/atom.

=====

VASP calculation (PBE with a Hubbard U) on a relaxed structure of Zr3CoF6.

Cell: 5.949 7.461 12.201 Å, 97.12 93.82 111.32°
Fractional positions:
Zr 0.000 0.000 0.000
Zr 0.000 0.500 0.500
Zr 0.500 0.000 0.000
Co 0.000 0.500 0.000
F 0.068 0.529 0.662
F 0.089 0.265 0.950
F 0.343 0.708 0.986
F 0.657 0.292 0.014
F 0.911 0.735 0.050
F 0.932 0.471 0.338

Values from the calculation:
The calculation puts the volume at 49.7 A^3/atom. The offset from the most stable computed form comes out at 0.868 eV per atom. The formation enthalpy at 0 K is -1.777 eV/atom.

=====

VASP calculation (PBE with a Hubbard U) on a relaxed structure of Zr3CoF6.

Cell: 5.241 5.325 5.484 Å, 98.74 98.03 97.06°
Fractional positions:
Zr 0.000 0.000 0.000
Zr 0.000 0.500 0.500
Zr 0.500 0.000 0.500
Co 0.000 0.000 0.500
F 0.126 0.641 0.887
F 0.355 0.606 0.368
F 0.394 0.124 0.151
F 0.606 0.876 0.849
F 0.645 0.394 0.632
F 0.874 0.359 0.113

Values from the calculation:
The calculation puts the volume at 14.8 A^3/atom. The offset from the most stable computed form comes out at 0.000 eV per atom. The formation enthalpy at 0 K is -2.645 eV/atom.

=====

VASP calculation (PBE with a Hubbard U) on a relaxed structure of Fe2Co3H4Se6O20.

Cell: 6.584 8.127 9.045 Å, 85.87 78.72 76.25°
Fractional positions:
Fe 0.136 0.397 0.118
Fe 0.864 0.603 0.882
Co 0.314 0.678 0.265
Co 0.500 0.000 0.000
Co 0.686 0.322 0.735
H 0.146 0.637 0.560
H 0.321 0.465 0.536
H 0.679 0.535 0.464
H 0.854 0.363 0.440
Se 0.201 0.215 0.775
Se 0.236 0.078 0.365
Se 0.331 0.709 0.871
Se 0.669 0.291 0.129
Se 0.764 0.922 0.635
Se 0.799 0.785 0.225
O 0.024 0.618 0.234
O 0.057 0.247 0.289
O 0.137 0.907 0.347
O 0.169 0.562 0.930
O 0.234 0.205 0.967
O 0.264 0.574 0.485
O 0.330 0.799 0.037
O 0.397 0.308 0.684
O 0.417 0.431 0.162
O 0.459 0.059 0.223
O 0.541 0.941 0.777
O 0.583 0.569 0.838
O 0.603 0.692 0.316
O 0.670 0.201 0.963
O 0.736 0.426 0.515
O 0.766 0.795 0.033
O 0.831 0.438 0.070
O 0.863 0.093 0.653
O 0.943 0.753 0.711
O 0.976 0.382 0.766

Values from the calculation:
The calculation puts the volume at 13.2 A^3/atom. The formation enthalpy at 0 K is -1.346 eV/atom.

=====

VASP calculation (PBE with a Hubbard U) on a relaxed structure of KFeCoP2O8.

Cell: 5.221 14.632 9.391 Å, 90.00 104.72 90.00°
Fractional positions:
K 0.179 0.175 0.316
K 0.179 0.325 0.816
K 0.821 0.675 0.184
K 0.821 0.825 0.684
Fe 0.226 0.628 0.882
Fe 0.226 0.872 0.382
Fe 0.774 0.128 0.618
Fe 0.774 0.372 0.118
Co 0.244 0.048 0.963
Co 0.244 0.452 0.463
Co 0.756 0.548 0.537
Co 0.756 0.952 0.037
P 0.256 0.673 0.538
P 0.256 0.827 0.038
P 0.310 0.007 0.677
P 0.310 0.493 0.177
P 0.690 0.507 0.823
P 0.690 0.993 0.323
P 0.744 0.173 0.962
P 0.744 0.327 0.462
O 0.064 0.049 0.724
O 0.064 0.451 0.224
O 0.089 0.586 0.469
O 0.089 0.914 0.969
O 0.117 0.744 0.945
O 0.117 0.756 0.445
O 0.221 0.580 0.084
O 0.221 0.920 0.584
O 0.231 0.689 0.696
O 0.231 0.811 0.196
O 0.416 0.080 0.586
O 0.416 0.420 0.086
O 0.453 0.166 0.968
O 0.453 0.334 0.468
O 0.491 0.015 0.176
O 0.491 0.485 0.676
O 0.509 0.515 0.324
O 0.509 0.985 0.824
O 0.547 0.666 0.532
O 0.547 0.834 0.032
O 0.584 0.580 0.914
O 0.584 0.920 0.414
O 0.769 0.189 0.804
O 0.769 0.311 0.304
O 0.779 0.080 0.416
O 0.779 0.420 0.916
O 0.883 0.244 0.555
O 0.883 0.256 0.055
O 0.911 0.086 0.031
O 0.911 0.414 0.531
O 0.936 0.549 0.776
O 0.936 0.951 0.276

Values from the calculation:
The calculation puts the volume at 13.3 A^3/atom. The formation enthalpy at 0 K is -2.361 eV/atom.

=====

VASP calculation (PBE with a Hubbard U) on a relaxed structure of LaMgFeCoO6.

Cell: 5.295 5.437 9.224 Å, 90.00 124.64 90.00°
Fractional positions:
La 0.000 0.216 0.000
La 0.000 0.784 0.500
Mg 0.534 0.309 0.499
Mg 0.534 0.691 0.999
Fe 0.256 0.249 0.748
Fe 0.256 0.751 0.248
Co 0.759 0.252 0.251
Co 0.759 0.748 0.751
O 0.131 0.232 0.496
O 0.131 0.768 0.996
O 0.439 0.296 0.006
O 0.439 0.704 0.506
O 0.517 0.051 0.309
O 0.517 0.949 0.809
O 0.584 0.493 0.805
O 0.584 0.507 0.305
O 0.889 0.043 0.694
O 0.889 0.957 0.194
O 0.967 0.480 0.200
O 0.967 0.520 0.700

Values from the calculation:
The calculation puts the volume at 10.9 A^3/atom. The formation enthalpy at 0 K is -2.288 eV/atom.

=====

VASP calculation (PBE with a Hubbard U) on a relaxed structure of La4FeCo3O12.

Cell: 5.469 5.545 7.884 Å, 90.45 91.44 90.19°
Fractional positions:
La 0.004 0.498 0.256
La 0.495 0.001 0.746
La 0.505 0.999 0.254
La 0.996 0.502 0.744
Fe 0.500 0.500 0.000
Co 0.000 0.000 0.000
Co 0.000 0.000 0.500
Co 0.500 0.500 0.500
O 0.002 0.068 0.743
O 0.211 0.728 0.534
O 0.213 0.275 0.033
O 0.276 0.211 0.469
O 0.277 0.789 0.969
O 0.500 0.439 0.753
O 0.500 0.561 0.247
O 0.723 0.211 0.031
O 0.724 0.789 0.531
O 0.787 0.725 0.967
O 0.789 0.272 0.466
O 0.998 0.932 0.257

Values from the calculation:
The calculation puts the volume at 12.0 A^3/atom. The formation enthalpy at 0 K is -2.652 eV/atom.

=====

VASP calculation (PBE with a Hubbard U) on a relaxed structure of Sr2La2FeCoO8.

Cell: 5.472 6.965 6.965 Å, 46.53 90.00 90.00°
Fractional positions:
Sr 0.000 0.000 0.000
Sr 0.500 0.212 0.212
La 0.000 0.715 0.715
La 0.500 0.496 0.496
Fe 0.500 0.860 0.860
Co 0.000 0.352 0.352
O 0.000 0.190 0.190
O 0.000 0.533 0.533
O 0.249 0.106 0.605
O 0.249 0.605 0.106
O 0.500 0.020 0.020
O 0.500 0.680 0.680
O 0.751 0.106 0.605
O 0.751 0.605 0.106

Values from the calculation:
The calculation puts the volume at 13.8 A^3/atom. The formation enthalpy at 0 K is -2.817 eV/atom.

=====

VASP calculation (PBE with a Hubbard U) on a relaxed structure of Sr2La3FeCo4O15.

Cell: 11.578 11.578 11.578 Å, 27.48 27.48 27.48°
Fractional positions:
Sr 0.000 0.000 0.000
Sr 0.200 0.200 0.200
La 0.401 0.401 0.401
La 0.600 0.600 0.600
La 0.801 0.801 0.801
Fe 0.301 0.301 0.301
Co 0.100 0.100 0.100
Co 0.502 0.502 0.502
Co 0.700 0.700 0.700
Co 0.900 0.900 0.900
O 0.097 0.097 0.605
O 0.097 0.605 0.097
O 0.194 0.703 0.703
O 0.302 0.302 0.791
O 0.302 0.791 0.302
O 0.413 0.896 0.896
O 0.504 0.504 0.994
O 0.504 0.994 0.504
O 0.605 0.097 0.097
O 0.703 0.194 0.703
O 0.703 0.703 0.194
O 0.791 0.302 0.302
O 0.896 0.413 0.896
O 0.896 0.896 0.413
O 0.994 0.504 0.504

Values from the calculation:
The calculation puts the volume at 11.7 A^3/atom. The formation enthalpy at 0 K is -2.390 eV/atom.

=====

VASP calculation (PBE with a Hubbard U) on a relaxed structure of Li4Mn3Fe3Co2O16.

Cell: 5.880 5.880 9.381 Å, 90.93 90.93 59.69°
Fractional positions:
Li 0.000 0.000 0.000
Li 0.003 0.003 0.502
Li 0.333 0.333 0.399
Li 0.668 0.668 0.899
Mn 0.175 0.175 0.719
Mn 0.340 0.833 0.217
Mn 0.833 0.340 0.217
Fe 0.173 0.663 0.717
Fe 0.663 0.173 0.717
Fe 0.834 0.834 0.216
Co 0.339 0.339 0.986
Co 0.671 0.671 0.489
O 0.008 0.008 0.314
O 0.009 0.009 0.812
O 0.046 0.474 0.849
O 0.164 0.164 0.108
O 0.174 0.669 0.105
O 0.330 0.330 0.606
O 0.340 0.840 0.603
O 0.474 0.046 0.849
O 0.479 0.479 0.853
O 0.516 0.958 0.349
O 0.523 0.523 0.344
O 0.661 0.661 0.110
O 0.669 0.174 0.105
O 0.832 0.832 0.600
O 0.840 0.340 0.603
O 0.958 0.516 0.349

Values from the calculation:
The calculation puts the volume at 10.0 A^3/atom. The formation enthalpy at 0 K is -1.709 eV/atom.